Compound: C
Source: the Materials Project database
Functional: PBE
Structure: relaxed

```
C
1.0
9.635 0.000 0.000
0.000 13.322 0.000
0.000 0.000 9.118
C
120
Direct
0.009 0.115 0.150
0.009 0.115 0.850
0.011 0.248 0.414
0.011 0.248 0.586
0.103 0.867 0.225
0.103 0.867 0.775
0.108 0.070 0.077
0.108 0.070 0.923
0.121 0.784 0.330
0.121 0.784 0.670
0.138 0.488 0.079
0.138 0.488 0.921
0.151 0.589 0.129
0.151 0.589 0.871
0.152 0.244 0.366
0.152 0.244 0.634
0.166 0.653 0.000
0.197 0.406 0.151
0.197 0.406 0.849
0.216 0.612 0.262
0.216 0.612 0.738
0.220 0.032 0.169
0.220 0.032 0.831
0.220 0.935 0.230
0.220 0.935 0.770
0.232 0.228 0.500
0.239 0.222 0.219
0.239 0.222 0.781
0.241 0.303 0.088
0.241 0.303 0.912
0.259 0.803 0.412
0.259 0.803 0.588
0.261 0.722 0.281
0.261 0.722 0.719
0.268 0.728 0.000
0.280 0.435 0.270
0.280 0.435 0.730
0.280 0.532 0.331
0.280 0.532 0.669
0.284 0.112 0.238
0.284 0.112 0.762
0.303 0.906 0.349
0.303 0.906 0.651
0.334 0.153 0.500
0.348 0.744 0.134
0.348 0.744 0.866
0.349 0.089 0.371
0.349 0.089 0.629
0.362 0.988 0.421
0.362 0.988 0.579
0.379 0.284 0.170
0.379 0.284 0.830
0.392 0.570 0.423
0.392 0.570 0.577
0.397 0.367 0.275
0.397 0.367 0.725
0.489 0.748 0.086
0.489 0.748 0.914
0.491 0.615 0.350
0.491 0.615 0.650
0.509 0.385 0.350
0.509 0.385 0.650
0.511 0.252 0.086
0.511 0.252 0.914
0.603 0.633 0.275
0.603 0.633 0.725
0.608 0.430 0.423
0.608 0.430 0.577
0.621 0.716 0.170
0.621 0.716 0.830
0.638 0.012 0.421
0.638 0.012 0.579
0.651 0.911 0.371
0.651 0.911 0.629
0.652 0.256 0.134
0.652 0.256 0.866
0.666 0.847 0.500
0.697 0.094 0.349
0.697 0.094 0.651
0.716 0.888 0.238
0.716 0.888 0.762
0.720 0.468 0.331
0.720 0.468 0.669
0.720 0.565 0.270
0.720 0.565 0.730
0.732 0.272 0.000
0.739 0.278 0.281
0.739 0.278 0.719
0.741 0.197 0.412
0.741 0.197 0.588
0.759 0.697 0.088
0.759 0.697 0.912
0.761 0.778 0.219
0.761 0.778 0.781
0.768 0.772 0.500
0.780 0.065 0.230
0.780 0.065 0.770
0.780 0.968 0.169
0.780 0.968 0.831
0.784 0.388 0.262
0.784 0.388 0.738
0.803 0.594 0.151
0.803 0.594 0.849
0.834 0.347 0.000
0.848 0.756 0.366
0.848 0.756 0.634
0.849 0.411 0.129
0.849 0.411 0.871
0.862 0.512 0.079
0.862 0.512 0.921
0.879 0.216 0.330
0.879 0.216 0.670
0.892 0.930 0.077
0.892 0.930 0.923
0.897 0.133 0.225
0.897 0.133 0.775
0.989 0.752 0.414
0.989 0.752 0.586
0.991 0.885 0.150
0.991 0.885 0.850
```

Calculated values
Size of the total moment ... 0.00 μB per formula unit
Symmetry ... Pnnm (58)


Compound: C
Source: the Materials Project database
Functional: PBE
Structure: relaxed

```
C
1.0
2.522 0.000 0.000
-1.261 2.184 0.000
0.000 0.000 12.434
C
12
Direct
0.000 0.000 0.187
0.000 0.000 0.313
0.000 0.000 0.687
0.000 0.000 0.813
0.333 0.667 0.021
0.333 0.667 0.145
0.333 0.667 0.355
0.333 0.667 0.479
0.667 0.333 0.521
0.667 0.333 0.645
0.667 0.333 0.855
0.667 0.333 0.979
```

Calculated values
Symmetry ... P6_3/mmc (194)


Compound: C
Source: the Materials Project database
Functional: PBE
Structure: relaxed

```
C
1.0
14.296 0.000 0.000
0.000 14.296 0.000
0.000 0.000 14.296
C
240
Direct
0.006 0.242 0.946
0.006 0.258 0.446
0.019 0.564 0.740
0.019 0.936 0.240
0.020 0.148 0.802
0.020 0.352 0.302
0.032 0.600 0.275
0.032 0.900 0.775
0.035 0.703 0.638
0.035 0.797 0.138
0.037 0.720 0.389
0.037 0.780 0.889
0.054 0.506 0.258
0.054 0.994 0.758
0.060 0.201 0.134
0.060 0.299 0.634
0.063 0.128 0.204
0.063 0.372 0.704
0.064 0.740 0.481
0.064 0.760 0.981
0.095 0.657 0.332
0.095 0.843 0.832
0.100 0.225 0.968
0.100 0.275 0.468
0.111 0.537 0.720
0.111 0.963 0.220
0.117 0.130 0.824
0.117 0.370 0.324
0.128 0.204 0.063
0.128 0.296 0.563
0.130 0.676 0.617
0.130 0.824 0.117
0.134 0.060 0.201
0.134 0.440 0.701
0.138 0.035 0.797
0.138 0.465 0.297
0.148 0.698 0.520
0.148 0.802 0.020
0.157 0.168 0.905
0.157 0.332 0.405
0.168 0.595 0.657
0.168 0.905 0.157
0.176 0.617 0.370
0.176 0.883 0.870
0.198 0.520 0.352
0.198 0.980 0.852
0.201 0.134 0.060
0.201 0.366 0.560
0.203 0.638 0.465
0.203 0.862 0.965
0.204 0.063 0.128
0.204 0.437 0.628
0.220 0.111 0.963
0.220 0.389 0.463
0.225 0.532 0.600
0.225 0.968 0.100
0.240 0.019 0.936
0.240 0.481 0.436
0.242 0.554 0.506
0.242 0.946 0.006
0.258 0.054 0.506
0.258 0.446 0.006
0.260 0.519 0.936
0.260 0.981 0.436
0.275 0.032 0.600
0.275 0.468 0.100
0.280 0.611 0.963
0.280 0.889 0.463
0.296 0.563 0.128
0.296 0.937 0.628
0.297 0.138 0.465
0.297 0.362 0.965
0.299 0.634 0.060
0.299 0.866 0.560
0.302 0.020 0.352
0.302 0.480 0.852
0.324 0.117 0.370
0.324 0.383 0.870
0.332 0.095 0.657
0.332 0.405 0.157
0.343 0.668 0.905
0.343 0.832 0.405
0.352 0.198 0.520
0.352 0.302 0.020
0.362 0.535 0.797
0.362 0.965 0.297
0.366 0.560 0.201
0.366 0.940 0.701
0.370 0.176 0.617
0.370 0.324 0.117
0.372 0.704 0.063
0.372 0.796 0.563
0.383 0.630 0.824
0.383 0.870 0.324
0.389 0.037 0.720
0.389 0.463 0.220
0.400 0.725 0.968
0.400 0.775 0.468
0.405 0.157 0.332
0.405 0.343 0.832
0.436 0.240 0.481
0.436 0.260 0.981
0.437 0.628 0.204
0.437 0.872 0.704
0.440 0.701 0.134
0.440 0.799 0.634
0.446 0.006 0.258
0.446 0.494 0.758
0.463 0.220 0.389
0.463 0.280 0.889
0.465 0.203 0.638
0.465 0.297 0.138
0.468 0.100 0.275
0.468 0.400 0.775
0.480 0.648 0.802
0.480 0.852 0.302
0.481 0.064 0.740
0.481 0.436 0.240
0.494 0.742 0.946
0.494 0.758 0.446
0.506 0.242 0.554
0.506 0.258 0.054
0.519 0.564 0.760
0.519 0.936 0.260
0.520 0.148 0.698
0.520 0.352 0.198
0.532 0.600 0.225
0.532 0.900 0.725
0.535 0.703 0.862
0.535 0.797 0.362
0.537 0.720 0.111
0.537 0.780 0.611
0.554 0.506 0.242
0.554 0.994 0.742
0.560 0.201 0.366
0.560 0.299 0.866
0.563 0.128 0.296
0.563 0.372 0.796
0.564 0.740 0.019
0.564 0.760 0.519
0.595 0.657 0.168
0.595 0.843 0.668
0.600 0.225 0.532
0.600 0.275 0.032
0.611 0.537 0.780
0.611 0.963 0.280
0.617 0.130 0.676
0.617 0.370 0.176
0.628 0.204 0.437
0.628 0.296 0.937
0.630 0.676 0.883
0.630 0.824 0.383
0.634 0.060 0.299
0.634 0.440 0.799
0.638 0.035 0.703
0.638 0.465 0.203
0.648 0.698 0.980
0.648 0.802 0.480
0.657 0.168 0.595
0.657 0.332 0.095
0.668 0.595 0.843
0.668 0.905 0.343
0.676 0.617 0.130
0.676 0.883 0.630
0.698 0.520 0.148
0.698 0.980 0.648
0.701 0.134 0.440
0.701 0.366 0.940
0.703 0.638 0.035
0.703 0.862 0.535
0.704 0.063 0.372
0.704 0.437 0.872
0.720 0.111 0.537
0.720 0.389 0.037
0.725 0.532 0.900
0.725 0.968 0.400
0.740 0.019 0.564
0.740 0.481 0.064
0.742 0.554 0.994
0.742 0.946 0.494
0.758 0.054 0.994
0.758 0.446 0.494
0.760 0.519 0.564
0.760 0.981 0.064
0.775 0.032 0.900
0.775 0.468 0.400
0.780 0.611 0.537
0.780 0.889 0.037
0.796 0.563 0.372
0.796 0.937 0.872
0.797 0.138 0.035
0.797 0.362 0.535
0.799 0.634 0.440
0.799 0.866 0.940
0.802 0.020 0.148
0.802 0.480 0.648
0.824 0.117 0.130
0.824 0.383 0.630
0.832 0.095 0.843
0.832 0.405 0.343
0.843 0.668 0.595
0.843 0.832 0.095
0.852 0.198 0.980
0.852 0.302 0.480
0.862 0.535 0.703
0.862 0.965 0.203
0.866 0.560 0.299
0.866 0.940 0.799
0.870 0.176 0.883
0.870 0.324 0.383
0.872 0.704 0.437
0.872 0.796 0.937
0.883 0.630 0.676
0.883 0.870 0.176
0.889 0.037 0.780
0.889 0.463 0.280
0.900 0.725 0.532
0.900 0.775 0.032
0.905 0.157 0.168
0.905 0.343 0.668
0.936 0.240 0.019
0.936 0.260 0.519
0.937 0.628 0.296
0.937 0.872 0.796
0.940 0.701 0.366
0.940 0.799 0.866
0.946 0.006 0.242
0.946 0.494 0.742
0.963 0.220 0.111
0.963 0.280 0.611
0.965 0.203 0.862
0.965 0.297 0.362
0.968 0.100 0.225
0.968 0.400 0.725
0.980 0.648 0.698
0.980 0.852 0.198
0.981 0.064 0.760
0.981 0.436 0.260
0.994 0.742 0.554
0.994 0.758 0.054
```

Calculated values
Size of the total moment ... 0.00 μB per formula unit
Symmetry ... Pa-3 (205)


Compound: C
Source: the Materials Project database
Functional: PBE
Structure: relaxed

```
C
1.0
1.263 0.729 14.480
-1.263 0.729 14.480
0.000 -1.458 14.480
C
14
Direct
0.018 0.018 0.018
0.173 0.173 0.173
0.208 0.208 0.208
0.268 0.268 0.268
0.304 0.304 0.304
0.410 0.410 0.410
0.447 0.447 0.447
0.553 0.553 0.553
0.590 0.590 0.590
0.696 0.696 0.696
0.732 0.732 0.732
0.792 0.792 0.792
0.827 0.827 0.827
0.982 0.982 0.982
```

Calculated values
Symmetry ... R-3m (166)


Compound: C
Source: the Materials Project database
Functional: PBE
Structure: relaxed

```
C
1.0
2.438 -2.792 0.000
2.438 2.792 0.000
0.000 0.000 4.273
C
8
Direct
0.000 0.500 0.343
0.000 0.500 0.657
0.149 0.851 0.181
0.149 0.851 0.819
0.500 0.000 0.343
0.500 0.000 0.657
0.851 0.149 0.181
0.851 0.149 0.819
```

Calculated values
Size of the total moment ... 0.00 μB per formula unit
Symmetry ... Cmmm (65)


| no. | calculated volume (Å³/cell) | energy of formation from the pure elements (meV/atom) |
| --- | --- | --- |
| 1 | 1170.4 | 699 |
| 2 | 68.5 | 144 |
| 3 | 2921.6 | 385 |
| 4 | 80.0 | 146 |
| 5 | 58.2 | 509 |